No. 1
## Tb3Ge5 (r²SCAN)

Data for a geometry-optimized Tb3Ge5 structure.

Computed properties:
Its total magnetic moment is 0.0 μB per formula unit. Its formation energy is -797 meV/atom. For the volume, the calculation gives 21.5 Å³/atom. For the total DFT energy (no corrections), the calculation gives -21.177 eV/atom.

a b c (Å): 5.7646 17.3249 13.7668
angles (deg): 90.00 90.00 90.00
Space group Fdd2 (No. 43)
Asymmetric unit:
Tb: 0.0000 0.0000 0.0000
Tb: 0.0106 0.3324 0.9930
Ge: 0.0000 0.0000 0.5549
Ge: 0.0039 0.1628 0.9135
Ge: 0.0538 0.3168 0.5938

=====

No. 2
## K3Sn4Au (r²SCAN)

Data for a geometry-optimized K3Sn4Au structure.

Computed properties:
Its total magnetic moment is 0.0 μB per formula unit. Its formation energy is -385 meV/atom. For the volume, the calculation gives 36.4 Å³/atom. For the total DFT energy (no corrections), the calculation gives -21.338 eV/atom.

a b c (Å): 7.0507 12.5522 6.5851
angles (deg): 90.00 90.00 90.00
Space group Pmmn (No. 59, origin choice 2)
Asymmetric unit:
K: 0.2500 0.0056 0.1694
K: 0.2500 0.2500 0.5592
Sn: 0.0279 0.7500 0.9628
Sn: 0.2500 0.6258 0.6687
Au: 0.2500 0.7500 0.3164

=====

No. 3
## BrF5 (r²SCAN)

Data for a geometry-optimized BrF5 structure.

Computed properties:
Its total magnetic moment is 0.0 μB per formula unit. Its formation energy is -949 meV/atom. For the volume, the calculation gives 14.8 Å³/atom. For the total DFT energy (no corrections), the calculation gives -5.764 eV/atom.

a b c (Å): 6.3733 7.1847 7.7319
angles (deg): 90.00 90.00 90.00
Space group Cmc2_1 (No. 36)
Asymmetric unit:
Br: 0.0000 0.1693 0.0000
F: 0.0000 0.0160 0.8098
F: 0.0000 0.3452 0.8475
F: 0.0000 0.3513 0.1562
F: 0.2192 0.3127 0.4886

=====

No. 4
## CsLi3I4 (r²SCAN)

Data for a geometry-optimized CsLi3I4 structure.

Computed properties:
Its total magnetic moment is 0.0 μB per formula unit. Its formation energy is -1490 meV/atom. For the volume, the calculation gives 37.1 Å³/atom. For the total DFT energy (no corrections), the calculation gives -17.803 eV/atom.

a b c (Å): 11.0689 4.6422 11.5780
angles (deg): 90.00 93.19 90.00
Space group Pm (No. 6)
Asymmetric unit:
Cs: 0.0000 0.0000 0.0000
Cs: 0.4479 0.0000 0.1471
Li: 0.1250 0.0000 0.3625
Li: 0.2215 0.5000 0.6897
Li: 0.5071 0.0000 0.5309
Li: 0.5902 0.5000 0.8563
Li: 0.7706 0.5000 0.3101
Li: 0.8700 0.0000 0.6359
I: 0.1654 0.5000 0.2322
I: 0.2633 0.0000 0.5662
I: 0.3472 0.5000 0.8980
I: 0.5476 0.5000 0.4060
I: 0.6459 0.0000 0.7354
I: 0.7276 0.5000 0.0702
I: 0.8799 0.0000 0.3962
I: 0.9769 0.5000 0.7293

=====

No. 5
## Ta2Al (r²SCAN)

Data for a geometry-optimized Ta2Al structure.

Computed properties:
Its total magnetic moment is 0.0 μB per formula unit. Its formation energy is -296 meV/atom. For the volume, the calculation gives 17.0 Å³/atom. For the total DFT energy (no corrections), the calculation gives -34.934 eV/atom.

a b c (Å): 9.9046 9.9046 5.1954
angles (deg): 90.00 90.00 90.00
Space group P4_2/mnm (No. 136)
Asymmetric unit:
Ta: 0.0358 0.3708 0.0000
Ta: 0.1020 0.1020 0.0000
Ta: 0.1814 0.8186 0.2482
Al: 0.0000 0.0000 0.5000
Al: 0.0664 0.2624 0.5000

=====

No. 6
## Sm2NiB10 (r²SCAN)

Data for a geometry-optimized Sm2NiB10 structure.

Computed properties:
Its total magnetic moment is 0.0 μB per formula unit. Its formation energy is -596 meV/atom. For the volume, the calculation gives 10.0 Å³/atom. For the total DFT energy (no corrections), the calculation gives -11.743 eV/atom.

a b c (Å): 5.5875 11.1391 4.1710
angles (deg): 90.00 90.00 90.00
Space group Pbam (No. 55)
Asymmetric unit:
Sm: 0.1870 0.1371 0.0000
Ni: 0.0000 0.5000 0.5000
B: 0.0298 0.3137 0.5000
B: 0.1268 0.9589 0.5000
B: 0.1600 0.8019 0.5000
B: 0.1998 0.3860 0.1995

=====

No. 7
## GdRu2 (r²SCAN)

Data for a geometry-optimized GdRu2 structure.

Computed properties:
Its total magnetic moment is 0.4 μB per formula unit. Its formation energy is -218 meV/atom. For the volume, the calculation gives 17.9 Å³/atom. For the total DFT energy (no corrections), the calculation gives -31.634 eV/atom.

a b c (Å): 5.3396 5.3396 13.0462
angles (deg): 90.00 90.00 120.00
Space group R-3m (No. 166, hexagonal axes)
Asymmetric unit:
Gd: 0.0000 0.0000 0.1249
Ru: 0.0000 0.0000 0.5000
Ru: 0.0000 0.5000 0.0000

=====

No. 8
## VRh3 (r²SCAN)

Data for a geometry-optimized VRh3 structure.

Computed properties:
Its total magnetic moment is 0.0 μB per formula unit. Its formation energy is -407 meV/atom. For the volume, the calculation gives 13.5 Å³/atom. For the total DFT energy (no corrections), the calculation gives -22.032 eV/atom.

a b c (Å): 3.7798 3.7798 3.7798
angles (deg): 90.00 90.00 90.00
Space group Pm-3m (No. 221)
Asymmetric unit:
V: 0.0000 0.0000 0.0000
Rh: 0.0000 0.5000 0.5000

=====

No. 9
## CrHO2 (r²SCAN)

Data for a geometry-optimized CrHO2 structure.

Computed properties:
Its total magnetic moment is 3.0 μB per formula unit. Its formation energy is -1932 meV/atom. For the volume, the calculation gives 7.8 Å³/atom. For the total DFT energy (no corrections), the calculation gives -9.550 eV/atom.

a b c (Å): 2.9789 4.3126 4.8654
angles (deg): 90.00 90.00 90.00
Space group Pmn2_1 (No. 31)
Asymmetric unit:
Cr: 0.0000 0.2354 0.0000
H: 0.0000 0.2949 0.4819
O: 0.0000 0.0115 0.6470
O: 0.0000 0.4892 0.3549

=====

No. 10
## Nd9Ga4 (r²SCAN)

Data for a geometry-optimized Nd9Ga4 structure.

Computed properties:
Its total magnetic moment is 0.0 μB per formula unit. Its formation energy is -442 meV/atom. For the volume, the calculation gives 29.1 Å³/atom. For the total DFT energy (no corrections), the calculation gives -24.330 eV/atom.

a b c (Å): 12.0886 12.0886 5.1709
angles (deg): 90.00 90.00 90.00
Space group I4/m (No. 87)
Asymmetric unit:
Nd: 0.0000 0.0000 0.0000
Nd: 0.0933 0.6293 0.0000
Nd: 0.1134 0.8147 0.5000
Ga: 0.1132 0.2305 0.0000

=====

No. 11
## LaCl3 (r²SCAN)

Data for a geometry-optimized LaCl3 structure.

Computed properties:
Its total magnetic moment is 0.0 μB per formula unit. Its formation energy is -2703 meV/atom. For the volume, the calculation gives 26.9 Å³/atom. For the total DFT energy (no corrections), the calculation gives -14.754 eV/atom.

a b c (Å): 7.5440 7.5440 4.3717
angles (deg): 90.00 90.00 120.00
Space group P6_3/m (No. 176)
Asymmetric unit:
La: 0.3333 0.6667 0.2500
Cl: 0.0861 0.3897 0.7500

=====

No. 12
## CaO (r²SCAN)

Data for a geometry-optimized CaO structure.

Computed properties:
Its total magnetic moment is 0.0 μB per formula unit. Its formation energy is -3120 meV/atom. For the volume, the calculation gives 16.5 Å³/atom. For the total DFT energy (no corrections), the calculation gives -9.625 eV/atom.

a b c (Å): 3.9920 3.9920 4.7848
angles (deg): 90.00 90.00 120.00
Space group P6_3/mmc (No. 194)
Asymmetric unit:
Ca: 0.3333 0.6667 0.2500
O: 0.3333 0.6667 0.7500

=====

Question: Which value of total magnetic moment does entry 8 give?
Answer: 0.0 μB per formula unit

=====

Question: What is the formula in the fourth record?
Answer: CsLi3I4